The following is a PBE with a Hubbard U calculation of crystalline Li4MnCo3O8 at its relaxed geometry, from the Materials Project database.

Summary:
ΔH_f (0 K) ... -1.73 eV per atom
VASP energy ... -0.429 Ry/atom
Space group ... No. 10
Magnetic moment ... 0.625 μB per atom

Structure (CIF):
```
data_Li4MnCo3O8
_cell_length_a 5.959
_cell_length_b 2.931
_cell_length_c 8.346
_cell_angle_alpha 90.00
_cell_angle_beta 91.80
_cell_angle_gamma 90.00
_space_group_name_H-M_alt 'P 1'
_space_group_IT_number 1
_space_group_name_Hall 'P 1'
loop_
_atom_site_label
_atom_site_type_symbol
_atom_site_fract_x
_atom_site_fract_y
_atom_site_fract_z
Li1 Li 0.000 0.000 0.000
Li2 Li 0.246 0.500 0.255
Li3 Li 0.500 0.000 0.500
Li4 Li 0.754 0.500 0.745
Mn1 Mn 0.500 0.000 0.000
Co1 Co 0.000 0.000 0.500
Co2 Co 0.239 0.500 0.737
Co3 Co 0.761 0.500 0.263
O1 O 0.011 0.000 0.759
O2 O 0.247 0.500 0.510
O3 O 0.282 0.500 0.994
O4 O 0.485 0.000 0.768
O5 O 0.515 0.000 0.232
O6 O 0.718 0.500 0.006
O7 O 0.753 0.500 0.490
O8 O 0.989 0.000 0.241
```

The following is a PBE with a Hubbard U calculation of crystalline Li2MnCoO4 at its relaxed geometry, from the Materials Project database.

Summary:
ΔH_f (0 K) ... -1.89 eV per atom
VASP energy ... -0.450 Ry/atom
Space group ... No. 12
Magnetic moment ... 0.500 μB per atom

Structure (CIF):
```
data_Li2MnCoO4
_cell_length_a 5.142
_cell_length_b 5.142
_cell_length_c 10.587
_cell_angle_alpha 97.16
_cell_angle_beta 97.16
_cell_angle_gamma 32.50
_space_group_name_H-M_alt 'P 1'
_space_group_IT_number 1
_space_group_name_Hall 'P 1'
loop_
_atom_site_label
_atom_site_type_symbol
_atom_site_fract_x
_atom_site_fract_y
_atom_site_fract_z
Li1 Li 0.000 0.000 0.000
Li2 Li 0.000 0.000 0.500
Li3 Li 0.498 0.498 0.745
Li4 Li 0.502 0.502 0.255
Mn1 Mn 0.246 0.246 0.869
Mn2 Mn 0.754 0.754 0.131
Co1 Co 0.256 0.256 0.381
Co2 Co 0.744 0.744 0.619
O1 O 0.127 0.127 0.680
O2 O 0.141 0.141 0.189
O3 O 0.364 0.364 0.561
O4 O 0.366 0.366 0.070
O5 O 0.634 0.634 0.930
O6 O 0.636 0.636 0.439
O7 O 0.859 0.859 0.811
O8 O 0.873 0.873 0.320
```

The following is a PBE with a Hubbard U calculation of crystalline Li2MnCoO4 at its relaxed geometry, from the Materials Project database.

Summary:
ΔH_f (0 K) ... -1.84 eV per atom
VASP energy ... -0.446 Ry/atom
Space group ... No. 2
Magnetic moment ... 0.999 μB per atom

Structure (CIF):
```
data_Li2MnCoO4
_cell_length_a 5.036
_cell_length_b 5.085
_cell_length_c 6.099
_cell_angle_alpha 101.86
_cell_angle_beta 95.07
_cell_angle_gamma 100.83
_space_group_name_H-M_alt 'P 1'
_space_group_IT_number 1
_space_group_name_Hall 'P 1'
loop_
_atom_site_label
_atom_site_type_symbol
_atom_site_fract_x
_atom_site_fract_y
_atom_site_fract_z
Li1 Li 0.000 0.000 0.000
Li2 Li 0.000 0.000 0.500
Li3 Li 0.493 0.005 0.253
Li4 Li 0.507 0.995 0.747
Mn1 Mn 0.250 0.499 0.872
Mn2 Mn 0.750 0.501 0.128
Co1 Co 0.250 0.499 0.377
Co2 Co 0.750 0.501 0.623
O1 O 0.104 0.731 0.694
O2 O 0.117 0.730 0.203
O3 O 0.386 0.264 0.051
O4 O 0.391 0.271 0.550
O5 O 0.609 0.729 0.450
O6 O 0.614 0.736 0.949
O7 O 0.883 0.270 0.797
O8 O 0.896 0.269 0.306
```

The following is a PBE with a Hubbard U calculation of crystalline Li5MnCo2O8 at its relaxed geometry, from the Materials Project database.

Summary:
ΔH_f (0 K) ... -1.83 eV per atom
VASP energy ... -0.420 Ry/atom
Space group ... No. 10
Magnetic moment ... 0.626 μB per atom

Structure (CIF):
```
data_Li5MnCo2O8
_cell_length_a 5.911
_cell_length_b 2.893
_cell_length_c 8.272
_cell_angle_alpha 90.00
_cell_angle_beta 90.58
_cell_angle_gamma 90.00
_space_group_name_H-M_alt 'P 1'
_space_group_IT_number 1
_space_group_name_Hall 'P 1'
loop_
_atom_site_label
_atom_site_type_symbol
_atom_site_fract_x
_atom_site_fract_y
_atom_site_fract_z
Li1 Li 0.000 0.000 0.000
Li2 Li 0.000 0.000 0.500
Li3 Li 0.244 0.500 0.263
Li4 Li 0.500 0.000 0.500
Li5 Li 0.756 0.500 0.737
Mn1 Mn 0.500 0.000 0.000
Co1 Co 0.239 0.500 0.728
Co2 Co 0.761 0.500 0.272
O1 O 0.021 0.000 0.756
O2 O 0.254 0.500 0.513
O3 O 0.280 0.500 0.000
O4 O 0.483 0.000 0.766
O5 O 0.517 0.000 0.234
O6 O 0.720 0.500 0.000
O7 O 0.746 0.500 0.487
O8 O 0.979 0.000 0.244
```

The following is a PBE with a Hubbard U calculation of crystalline Li5MnCo2O8 at its relaxed geometry, from the Materials Project database.

Summary:
ΔH_f (0 K) ... -1.80 eV per atom
VASP energy ... -0.417 Ry/atom
Space group ... No. 10
Magnetic moment ... 0.314 μB per atom

Structure (CIF):
```
data_Li5MnCo2O8
_cell_length_a 5.077
_cell_length_b 2.911
_cell_length_c 9.742
_cell_angle_alpha 90.00
_cell_angle_beta 101.15
_cell_angle_gamma 90.00
_space_group_name_H-M_alt 'P 1'
_space_group_IT_number 1
_space_group_name_Hall 'P 1'
loop_
_atom_site_label
_atom_site_type_symbol
_atom_site_fract_x
_atom_site_fract_y
_atom_site_fract_z
Li1 Li 0.000 0.000 0.000
Li2 Li 0.239 0.500 0.231
Li3 Li 0.259 0.000 0.762
Li4 Li 0.741 0.000 0.238
Li5 Li 0.761 0.500 0.769
Mn1 Mn 0.000 0.500 0.500
Co1 Co 0.500 0.000 0.500
Co2 Co 0.500 0.500 0.000
O1 O 0.102 0.000 0.385
O2 O 0.171 0.500 0.889
O3 O 0.358 0.500 0.610
O4 O 0.386 0.000 0.113
O5 O 0.614 0.000 0.887
O6 O 0.642 0.500 0.390
O7 O 0.829 0.500 0.111
O8 O 0.898 0.000 0.615
```

The following is a PBE with a Hubbard U calculation of crystalline Li4Mn3CoO8 at its relaxed geometry, from the Materials Project database.

Summary:
ΔH_f (0 K) ... -2.00 eV per atom
VASP energy ... -0.467 Ry/atom
Space group ... No. 12
Magnetic moment ... 1.000 μB per atom

Structure (CIF):
```
data_Li4Mn3CoO8
_cell_length_a 6.043
_cell_length_b 6.043
_cell_length_c 5.344
_cell_angle_alpha 110.19
_cell_angle_beta 110.19
_cell_angle_gamma 57.37
_space_group_name_H-M_alt 'P 1'
_space_group_IT_number 1
_space_group_name_Hall 'P 1'
loop_
_atom_site_label
_atom_site_type_symbol
_atom_site_fract_x
_atom_site_fract_y
_atom_site_fract_z
Li1 Li 0.000 0.500 0.500
Li2 Li 0.248 0.248 0.014
Li3 Li 0.500 0.000 0.500
Li4 Li 0.752 0.752 0.986
Mn1 Mn 0.000 0.000 0.500
Mn2 Mn 0.249 0.751 0.000
Mn3 Mn 0.751 0.249 0.000
Co1 Co 0.500 0.500 0.500
O1 O 0.116 0.116 0.224
O2 O 0.124 0.638 0.269
O3 O 0.362 0.876 0.731
O4 O 0.396 0.396 0.752
O5 O 0.604 0.604 0.248
O6 O 0.638 0.124 0.269
O7 O 0.876 0.362 0.731
O8 O 0.884 0.884 0.776
```

The following is a PBE with a Hubbard U calculation of crystalline Li2MnCoO4 at its relaxed geometry, from the Materials Project database.

Summary:
ΔH_f (0 K) ... -1.88 eV per atom
VASP energy ... -0.449 Ry/atom
Space group ... No. 2
Magnetic moment ... 0.750 μB per atom

Structure (CIF):
```
data_Li2MnCoO4
_cell_length_a 5.047
_cell_length_b 5.083
_cell_length_c 6.094
_cell_angle_alpha 91.47
_cell_angle_beta 92.14
_cell_angle_gamma 106.54
_space_group_name_H-M_alt 'P 1'
_space_group_IT_number 1
_space_group_name_Hall 'P 1'
loop_
_atom_site_label
_atom_site_type_symbol
_atom_site_fract_x
_atom_site_fract_y
_atom_site_fract_z
Li1 Li 0.246 0.498 0.128
Li2 Li 0.252 0.500 0.624
Li3 Li 0.748 0.500 0.376
Li4 Li 0.754 0.502 0.872
Mn1 Mn 0.250 0.003 0.874
Mn2 Mn 0.750 0.997 0.126
Co1 Co 0.251 0.992 0.377
Co2 Co 0.749 0.008 0.623
O1 O 0.005 0.780 0.632
O2 O 0.014 0.242 0.867
O3 O 0.483 0.759 0.385
O4 O 0.490 0.220 0.121
O5 O 0.510 0.780 0.879
O6 O 0.517 0.241 0.615
O7 O 0.986 0.758 0.133
O8 O 0.995 0.220 0.368
```

The following is a PBE with a Hubbard U calculation of crystalline Li7Mn4CoO12 at its relaxed geometry, from the Materials Project database.

Summary:
ΔH_f (0 K) ... -2.03 eV per atom
VASP energy ... -0.455 Ry/atom
Space group ... No. 6
Magnetic moment ... 0.750 μB per atom

Structure (CIF):
```
data_Li7Mn4CoO12
_cell_length_a 5.257
_cell_length_b 2.893
_cell_length_c 14.702
_cell_angle_alpha 90.00
_cell_angle_beta 92.95
_cell_angle_gamma 90.00
_space_group_name_H-M_alt 'P 1'
_space_group_IT_number 1
_space_group_name_Hall 'P 1'
loop_
_atom_site_label
_atom_site_type_symbol
_atom_site_fract_x
_atom_site_fract_y
_atom_site_fract_z
Li1 Li 0.000 0.000 0.000
Li2 Li 0.005 0.000 0.503
Li3 Li 0.175 0.500 0.830
Li4 Li 0.331 0.000 0.658
Li5 Li 0.504 0.500 0.493
Li6 Li 0.640 0.000 0.349
Li7 Li 0.840 0.500 0.178
Mn1 Mn 0.322 0.000 0.173
Mn2 Mn 0.490 0.500 0.002
Mn3 Mn 0.684 0.000 0.833
Mn4 Mn 0.859 0.500 0.662
Co1 Co 0.127 0.500 0.352
O1 O 0.002 0.000 0.742
O2 O 0.046 0.000 0.249
O3 O 0.135 0.500 0.593
O4 O 0.166 0.500 0.097
O5 O 0.323 0.000 0.415
O6 O 0.341 0.000 0.926
O7 O 0.488 0.500 0.238
O8 O 0.545 0.500 0.756
O9 O 0.622 0.000 0.082
O10 O 0.687 0.000 0.597
O11 O 0.827 0.500 0.913
O12 O 0.837 0.500 0.410
```

The following is a PBE with a Hubbard U calculation of crystalline Li4MnCo2O7 at its relaxed geometry, from the Materials Project database.

Summary:
ΔH_f (0 K) ... -1.84 eV per atom
VASP energy ... -0.429 Ry/atom
Space group ... No. 1
Magnetic moment ... 0.786 μB per atom

Structure (CIF):
```
data_Li4MnCo2O7
_cell_length_a 5.095
_cell_length_b 7.650
_cell_length_c 7.733
_cell_angle_alpha 60.75
_cell_angle_beta 78.34
_cell_angle_gamma 71.84
_space_group_name_H-M_alt 'P 1'
_space_group_IT_number 1
_space_group_name_Hall 'P 1'
loop_
_atom_site_label
_atom_site_type_symbol
_atom_site_fract_x
_atom_site_fract_y
_atom_site_fract_z
Li1 Li 0.000 0.000 0.000
Li2 Li 0.000 0.288 0.575
Li3 Li 0.003 0.578 0.141
Li4 Li 0.005 0.706 0.438
Li5 Li 0.006 0.438 0.845
Li6 Li 0.009 0.139 0.284
Li7 Li 0.018 0.855 0.709
Li8 Li 0.510 0.573 0.641
Mn1 Mn 0.504 0.430 0.359
Mn2 Mn 0.509 0.285 0.068
Co1 Co 0.496 0.149 0.782
Co2 Co 0.505 0.851 0.226
Co3 Co 0.506 0.718 0.919
Co4 Co 0.514 0.997 0.502
O1 O 0.265 0.002 0.756
O2 O 0.272 0.423 0.589
O3 O 0.275 0.150 0.034
O4 O 0.278 0.696 0.191
O5 O 0.282 0.559 0.910
O6 O 0.290 0.870 0.453
O7 O 0.295 0.276 0.315
O8 O 0.724 0.854 0.973
O9 O 0.726 0.278 0.836
O10 O 0.727 0.154 0.529
O11 O 0.730 0.423 0.115
O12 O 0.738 0.563 0.386
O13 O 0.740 0.016 0.235
O14 O 0.742 0.736 0.673
```

The following is a PBE with a Hubbard U calculation of crystalline Li3MnCoO5 at its relaxed geometry, from the Materials Project database.

Summary:
ΔH_f (0 K) ... -1.96 eV per atom
VASP energy ... -0.438 Ry/atom
Space group ... No. 2
Magnetic moment ... 0.300 μB per atom

Structure (CIF):
```
data_Li3MnCoO5
_cell_length_a 5.093
_cell_length_b 5.139
_cell_length_c 7.637
_cell_angle_alpha 103.13
_cell_angle_beta 108.50
_cell_angle_gamma 99.87
_space_group_name_H-M_alt 'P 1'
_space_group_IT_number 1
_space_group_name_Hall 'P 1'
loop_
_atom_site_label
_atom_site_type_symbol
_atom_site_fract_x
_atom_site_fract_y
_atom_site_fract_z
Li1 Li 0.000 0.000 0.000
Li2 Li 0.000 0.500 0.500
Li3 Li 0.193 0.005 0.401
Li4 Li 0.391 0.995 0.797
Li5 Li 0.609 0.005 0.203
Li6 Li 0.807 0.995 0.599
Mn1 Mn 0.399 0.494 0.301
Mn2 Mn 0.601 0.506 0.699
Co1 Co 0.195 0.500 0.890
Co2 Co 0.805 0.500 0.110
O1 O 0.022 0.268 0.246
O2 O 0.210 0.717 0.152
O3 O 0.224 0.273 0.667
O4 O 0.407 0.268 0.063
O5 O 0.416 0.723 0.545
O6 O 0.584 0.277 0.455
O7 O 0.593 0.732 0.937
O8 O 0.776 0.727 0.333
O9 O 0.790 0.283 0.848
O10 O 0.978 0.732 0.754
```

The following is a PBE with a Hubbard U calculation of crystalline Li7Mn2Co3O12 at its relaxed geometry, from the Materials Project database.

Summary:
ΔH_f (0 K) ... -1.89 eV per atom
VASP energy ... -0.432 Ry/atom
Space group ... No. 1
Magnetic moment ... 0.667 μB per atom

Structure (CIF):
```
data_Li7Mn2Co3O12
_cell_length_a 5.850
_cell_length_b 6.520
_cell_length_c 6.532
_cell_angle_alpha 96.67
_cell_angle_beta 115.71
_cell_angle_gamma 102.95
_space_group_name_H-M_alt 'P 1'
_space_group_IT_number 1
_space_group_name_Hall 'P 1'
loop_
_atom_site_label
_atom_site_type_symbol
_atom_site_fract_x
_atom_site_fract_y
_atom_site_fract_z
Li1 Li 0.000 0.000 0.000
Li2 Li 0.002 0.673 0.662
Li3 Li 0.004 0.346 0.331
Li4 Li 0.499 0.669 0.660
Li5 Li 0.505 0.001 0.995
Li6 Li 0.512 0.343 0.329
Li7 Li 0.757 0.671 0.163
Mn1 Mn 0.256 0.669 0.165
Mn2 Mn 0.259 0.341 0.833
Co1 Co 0.239 0.002 0.487
Co2 Co 0.751 0.997 0.489
Co3 Co 0.752 0.343 0.833
O1 O 0.125 0.022 0.742
O2 O 0.141 0.680 0.399
O3 O 0.158 0.356 0.082
O4 O 0.358 0.338 0.592
O5 O 0.365 0.652 0.921
O6 O 0.372 0.984 0.245
O7 O 0.607 0.334 0.046
O8 O 0.610 0.682 0.401
O9 O 0.621 0.030 0.731
O10 O 0.890 0.010 0.266
O11 O 0.891 0.332 0.612
O12 O 0.897 0.650 0.927
```

The following is a PBE with a Hubbard U calculation of crystalline Li7Mn2Co3O12 at its relaxed geometry, from the Materials Project database.

Summary:
ΔH_f (0 K) ... -1.84 eV per atom
VASP energy ... -0.429 Ry/atom
Space group ... No. 6
Magnetic moment ... 0.750 μB per atom

Structure (CIF):
```
data_Li7Mn2Co3O12
_cell_length_a 5.953
_cell_length_b 2.932
_cell_length_c 12.910
_cell_angle_alpha 90.00
_cell_angle_beta 102.55
_cell_angle_gamma 90.00
_space_group_name_H-M_alt 'P 1'
_space_group_IT_number 1
_space_group_name_Hall 'P 1'
loop_
_atom_site_label
_atom_site_type_symbol
_atom_site_fract_x
_atom_site_fract_y
_atom_site_fract_z
Li1 Li 0.000 0.000 0.000
Li2 Li 0.005 0.500 0.511
Li3 Li 0.164 0.500 0.833
Li4 Li 0.321 0.000 0.662
Li5 Li 0.509 0.500 0.515
Li6 Li 0.692 0.000 0.358
Li7 Li 0.846 0.500 0.183
Mn1 Mn 0.337 0.500 0.177
Mn2 Mn 0.507 0.000 0.006
Co1 Co 0.167 0.000 0.360
Co2 Co 0.673 0.500 0.827
Co3 Co 0.850 0.000 0.662
O1 O 0.077 0.500 0.678
O2 O 0.119 0.000 0.171
O3 O 0.256 0.000 0.499
O4 O 0.282 0.500 0.016
O5 O 0.402 0.500 0.325
O6 O 0.441 0.000 0.857
O7 O 0.557 0.000 0.166
O8 O 0.592 0.500 0.683
O9 O 0.730 0.500 0.010
O10 O 0.756 0.000 0.520
O11 O 0.905 0.000 0.842
O12 O 0.937 0.500 0.336
```